# ErCu5Sn

An optimized crystal structure of ErCu5Sn (PBE, the Materials Project).

```
ErCu5Sn
1.0
-2.559 -3.899 1.768
5.163 -0.518 6.330
-6.133 6.535 5.537
Er Cu Sn
4 20 4
Cartesian
2.856 -0.950 5.557
-1.515 0.371 9.179
-2.014 1.747 4.457
-6.385 3.068 8.079
-3.356 3.067 8.968
2.901 1.557 7.658
0.895 1.939 9.089
-6.430 0.561 5.978
-0.173 -0.949 4.668
-5.159 2.497 5.100
1.001 -3.110 5.144
-5.848 4.867 5.788
-1.444 2.667 7.309
-1.011 3.474 9.717
-4.424 0.179 4.546
-4.626 1.131 9.845
2.319 -2.749 7.847
-3.651 3.796 6.605
0.122 -1.677 7.030
1.097 0.987 3.790
-4.530 5.228 8.491
1.630 -0.379 8.535
-2.518 -1.356 3.918
-2.085 -0.549 6.327
0.448 1.055 6.493
-3.977 1.063 7.143
-0.769 -0.141 2.095
-2.760 2.259 11.540
```

Output
ΔE_f = -0.25 eV per atom
symmetry = Pnma (62)
spin magnetization = 0.000 μB per atom